## NpPO4F (PBE-GGA)

Data for a relaxed structure of NpPO4F.

a = 6.417 Å, b = 6.998 Å, c = 8.671 Å
α = 90.00°, β = 90.00°, γ = 90.00°
Element x y z (fractional)
O 0.006 0.750 0.013
O 0.326 0.076 0.067
O 0.605 0.750 0.233
O 0.674 0.576 0.933
Np 0.651 0.250 0.943
P 0.179 0.250 0.100
Np 0.849 0.250 0.443
O 0.506 0.250 0.487
P 0.821 0.750 0.900
O 0.395 0.250 0.767
F 0.692 0.250 0.206
O 0.174 0.424 0.567
O 0.105 0.250 0.267
F 0.192 0.750 0.294
O 0.326 0.424 0.067
F 0.308 0.750 0.794
O 0.674 0.924 0.933
F 0.808 0.250 0.706
O 0.174 0.076 0.567
P 0.321 0.250 0.600
Np 0.349 0.750 0.057
O 0.494 0.750 0.513
O 0.826 0.576 0.433
P 0.679 0.750 0.400
Np 0.151 0.750 0.557
O 0.826 0.924 0.433
O 0.994 0.250 0.987
O 0.895 0.750 0.733

Output
- SG = No. 62


## TiAu (PBE-GGA)

Data for a relaxed structure of TiAu.

a = 2.986 Å, b = 2.986 Å, c = 4.554 Å
α = 90.00°, β = 90.00°, γ = 120.00°
Element x y z (fractional)
Ti 0.000 0.000 0.000
Au 0.333 0.667 0.500

Output
- SG = No. 187


## Rb3SbS3 (PBE-GGA)

Data for a relaxed structure of Rb3SbS3.

a = 10.014 Å, b = 10.014 Å, c = 10.014 Å
α = 90.00°, β = 90.00°, γ = 90.00°
Element x y z (fractional)
Rb 0.821 0.821 0.821
Rb 0.563 0.563 0.563
Sb 0.776 0.224 0.724
S 0.256 0.346 0.042
Rb 0.437 0.063 0.937
Rb 0.179 0.321 0.679
Rb 0.559 0.441 0.941
Rb 0.059 0.059 0.059
Rb 0.941 0.559 0.441
S 0.154 0.958 0.756
S 0.346 0.042 0.256
S 0.244 0.654 0.542
S 0.958 0.756 0.154
Rb 0.441 0.941 0.559
S 0.654 0.542 0.244
Rb 0.937 0.437 0.063
Rb 0.679 0.179 0.321
Sb 0.724 0.776 0.224
Rb 0.321 0.679 0.179
Rb 0.063 0.937 0.437
S 0.458 0.744 0.846
Sb 0.276 0.276 0.276
S 0.542 0.244 0.654
S 0.756 0.154 0.958
Sb 0.224 0.724 0.776
S 0.846 0.458 0.744
S 0.744 0.846 0.458
S 0.042 0.256 0.346

Output
- SG = No. 198
- piezoelectric modulus e_max (C/m2) = 0.09


## RbUH2SeO7F (PBE-GGA)

Data for a relaxed structure of RbUH2SeO7F.

a = 8.609 Å, b = 13.685 Å, c = 14.027 Å
α = 90.00°, β = 90.00°, γ = 90.00°
Element x y z (fractional)
Rb 0.599 0.629 0.750
O 0.833 0.860 0.043
O 0.730 0.045 0.045
O 0.230 0.455 0.455
H 0.016 0.464 0.305
H 0.040 0.904 0.194
F 0.622 0.719 0.003
O 0.770 0.545 0.955
F 0.378 0.281 0.503
H 0.540 0.596 0.306
O 0.167 0.140 0.957
O 0.908 0.661 0.113
O 0.230 0.455 0.045
Se 0.236 0.050 0.028
O 0.270 0.955 0.545
O 0.167 0.140 0.543
O 0.632 0.236 0.134
Se 0.764 0.950 0.528
O 0.868 0.736 0.634
Se 0.236 0.050 0.472
U 0.110 0.303 0.489
O 0.091 0.589 0.571
O 0.592 0.161 0.887
O 0.667 0.360 0.957
O 0.409 0.089 0.071
O 0.368 0.764 0.866
O 0.270 0.955 0.955
F 0.878 0.219 0.997
O 0.883 0.978 0.885
Se 0.264 0.550 0.528
O 0.383 0.522 0.885
O 0.333 0.640 0.457
O 0.730 0.045 0.455
H 0.960 0.096 0.694
O 0.408 0.839 0.113
H 0.040 0.904 0.306
U 0.110 0.303 0.011
Rb 0.401 0.371 0.250
O 0.368 0.764 0.634
Rb 0.175 0.683 0.250
O 0.591 0.911 0.571
O 0.667 0.360 0.543
O 0.419 0.979 0.750
Rb 0.825 0.317 0.750
U 0.390 0.803 0.511
U 0.610 0.197 0.011
O 0.409 0.089 0.429
O 0.908 0.661 0.387
U 0.890 0.697 0.989
H 0.460 0.404 0.694
O 0.091 0.589 0.929
H 0.484 0.964 0.695
O 0.909 0.411 0.429
O 0.383 0.522 0.615
Rb 0.099 0.871 0.750
H 0.484 0.964 0.805
Se 0.736 0.450 0.028
O 0.132 0.264 0.366
O 0.770 0.545 0.545
O 0.092 0.339 0.887
F 0.122 0.781 0.497
Rb 0.675 0.817 0.250
O 0.081 0.479 0.250
O 0.591 0.911 0.929
F 0.378 0.281 0.997
O 0.117 0.022 0.115
O 0.833 0.860 0.457
O 0.001 0.131 0.750
Se 0.764 0.950 0.972
O 0.919 0.521 0.750
O 0.883 0.978 0.615
O 0.408 0.839 0.387
F 0.122 0.781 0.003
O 0.632 0.236 0.366
H 0.460 0.404 0.806
O 0.592 0.161 0.613
O 0.909 0.411 0.071
H 0.984 0.536 0.695
U 0.890 0.697 0.511
O 0.499 0.631 0.250
O 0.999 0.869 0.250
H 0.540 0.596 0.194
Se 0.736 0.450 0.472
Se 0.264 0.550 0.972
O 0.092 0.339 0.613
U 0.610 0.197 0.489
O 0.617 0.478 0.385
H 0.516 0.036 0.305
O 0.117 0.022 0.385
H 0.984 0.536 0.805
U 0.390 0.803 0.989
O 0.501 0.369 0.750
F 0.622 0.719 0.497
O 0.132 0.264 0.134
H 0.516 0.036 0.195
H 0.016 0.464 0.195
H 0.960 0.096 0.806
O 0.868 0.736 0.866
Rb 0.325 0.183 0.750
O 0.617 0.478 0.115
O 0.581 0.021 0.250
Rb 0.901 0.129 0.250
F 0.878 0.219 0.503
O 0.333 0.640 0.043

Output
- SG = No. 62


## LiLu2Re (PBE-GGA)

Data for a relaxed structure of LiLu2Re.

a = 4.838 Å, b = 4.838 Å, c = 4.838 Å
α = 60.00°, β = 60.00°, γ = 60.00°
Element x y z (fractional)
Li 0.500 0.500 0.500
Lu 0.250 0.250 0.250
Re 0.000 0.000 0.000
Lu 0.750 0.750 0.750

Output
- SG = No. 225


## NaZrScSiS2O12 (PBE-GGA)

Data for a relaxed structure of NaZrScSiS2O12.

a = 8.942 Å, b = 8.953 Å, c = 23.454 Å
α = 89.85°, β = 90.00°, γ = 119.96°
Element x y z (fractional)
S 0.625 0.959 0.416
O 0.308 0.851 0.968
O 0.802 0.973 0.693
S 0.040 0.662 0.416
O 0.175 0.971 0.910
O 0.203 0.180 0.090
O 0.536 0.690 0.256
O 0.464 0.159 0.528
O 0.878 0.363 0.635
S 0.000 0.710 0.750
O 0.815 0.791 0.302
O 0.969 0.183 0.301
O 0.976 0.180 0.590
O 0.648 0.132 0.423
O 0.639 0.510 0.924
O 0.131 0.490 0.577
Na 0.342 0.680 0.669
Zr 0.333 0.665 0.020
O 0.160 0.187 0.411
S 0.710 0.710 0.250
O 0.214 0.183 0.801
O 0.511 0.642 0.577
O 0.458 0.311 0.031
O 0.138 0.496 0.860
S 0.334 0.959 0.916
O 0.186 0.211 0.699
O 0.692 0.172 0.744
O 0.123 0.642 0.365
S 0.955 0.331 0.582
O 0.308 0.464 0.757
O 0.851 0.358 0.922
O 0.130 0.642 0.077
O 0.363 0.880 0.865
Si 0.366 0.037 0.582
O 0.484 0.363 0.135
Sc 0.000 0.996 0.148
Si 0.338 0.381 0.416
Na 0.338 0.680 0.169
O 0.695 0.545 0.532
Na 0.012 0.007 0.503
O 0.847 0.313 0.244
O 0.154 0.690 0.756
O 0.201 0.027 0.305
O 0.358 0.496 0.360
Na 0.677 0.331 0.836
Zr 0.019 0.011 0.353
O 0.850 0.545 0.032
O 0.853 0.311 0.531
Zr 0.660 0.314 0.686
O 0.843 0.537 0.743
S 0.955 0.624 0.083
O 0.353 0.848 0.575
Sc 0.681 0.324 0.981
Si 0.703 0.991 0.748
O 0.638 0.130 0.139
Sc 0.338 0.667 0.314
Na 0.995 0.007 0.003
O 0.307 0.469 0.472
Si 0.671 0.037 0.082
S 0.002 0.292 0.249
O 0.150 0.696 0.468
O 0.027 0.187 0.911
O 0.513 0.826 0.758
O 0.543 0.851 0.468
O 0.025 0.211 0.199
O 0.314 0.826 0.258
S 0.290 0.292 0.749
O 0.871 0.510 0.424
O 0.826 0.027 0.805
O 0.841 0.019 0.092
O 0.467 0.313 0.744
O 0.642 0.519 0.635
O 0.359 0.490 0.077
O 0.519 0.642 0.865
O 0.178 0.019 0.592
Na 0.655 0.331 0.336
O 0.789 0.817 0.199
S 0.622 0.662 0.916
O 0.695 0.537 0.243
O 0.821 0.798 0.589
O 0.028 0.817 0.699
O 0.799 0.819 0.910
O 0.480 0.172 0.244
O 0.517 0.880 0.365
O 0.494 0.848 0.075
S 0.376 0.331 0.082
O 0.976 0.791 0.802
Si 0.043 0.381 0.916
Sc 0.996 0.996 0.648
Zr 0.332 0.665 0.520
Zr 0.992 0.011 0.853
Sc 0.329 0.667 0.814
Sc 0.642 0.324 0.481
O 0.546 0.696 0.968
O 0.171 0.973 0.193
O 0.492 0.130 0.639
O 0.020 0.819 0.410
O 0.796 0.971 0.410
O 0.162 0.469 0.972
O 0.695 0.159 0.028
O 0.155 0.464 0.257
O 0.507 0.358 0.422
Si 0.288 0.991 0.248
Zr 0.654 0.314 0.186
O 0.484 0.132 0.923
O 0.977 0.798 0.089
O 0.877 0.519 0.135
S 0.669 0.624 0.583

Output
- SG = No. 9


| no. | energy of formation (eV per atom) | calculated density (Mg/m³) |
| --- | --- | --- |
| 1 | -3.224 | 5.99 |
| 2 | -0.149 | 11.56 |
| 3 | -1.181 | 3.14 |
| 4 | -2.236 | 4.30 |
| 5 | 0.001 | 11.27 |
| 6 | -2.776 | 2.72 |